A relaxed structure of Li2Cr4P4O15, computed with PBE+U.

The structure in POSCAR format:
```
Li2Cr4P4O15
1.0
7.0337 5.5175 0.0000
-7.0337 5.5175 0.0000
0.0000 3.6975 17.9317
Li Cr P O
8 16 16 60
Cartesian
-3.2248 9.3001 4.4541
1.0174 7.0144 0.9662
1.0174 5.8694 7.9997
3.2248 11.1488 13.4199
-3.2248 3.5837 4.5117
-1.0174 8.8632 9.9320
-1.0174 7.7181 16.9655
3.2248 5.4324 13.4775
-0.7625 2.7368 7.7542
-4.3751 4.6838 1.1647
-3.5169 4.6075 8.9658
0.7625 4.5855 16.7201
-4.4452 6.4419 4.4829
-0.5714 6.4419 4.4829
6.3293 6.4419 4.4829
4.3751 6.5325 10.1305
-4.3751 8.2000 7.8011
-6.3293 8.2906 13.4487
4.4452 8.2906 13.4487
0.5714 8.2906 13.4487
-0.7625 10.1470 1.2116
4.3751 10.0488 16.7669
0.7625 11.9958 10.1774
3.5169 2.7588 0.0000
0.9431 2.0825 1.8060
-1.9936 2.2367 1.8679
1.0185 3.7658 5.7560
-0.9431 3.9312 10.7718
1.9936 4.0855 10.8337
-2.1859 5.7853 6.8112
-1.0185 5.6146 14.7218
-2.1859 7.0985 2.1546
2.1859 7.6341 15.7770
1.0185 9.1180 3.2098
2.1859 8.9472 11.1205
-1.9936 10.6471 7.0979
0.9431 10.8013 7.1599
-1.0185 10.9667 12.1756
1.9936 12.4958 16.0638
-0.9431 12.6501 16.1257
0.9320 1.6698 3.2793
-0.2606 2.8565 5.7702
-0.4671 2.8103 1.5154
2.0121 3.0741 1.4229
-2.8408 3.3060 1.2274
-0.9320 3.5185 12.2451
1.1820 4.1337 7.3159
-2.0022 4.4343 7.5749
2.3230 9.9083 3.5074
0.2606 4.7052 14.7360
0.8986 4.9535 4.8310
0.4671 4.6590 10.4812
-2.0121 4.9228 10.3887
2.8408 5.1547 10.1932
-2.8518 5.4471 5.4394
4.9207 5.2410 5.5652
-6.0737 6.2968 0.9029
4.9399 6.3922 1.1714
-3.0919 6.2574 1.2307
-1.1820 5.9824 16.2817
-0.8249 6.3995 2.4009
2.0022 6.2830 16.5407
-0.8249 6.4842 6.5649
-3.0919 6.6264 7.7352
4.9399 6.4916 7.7944
-6.0737 6.5870 8.0629
-2.3230 11.7570 12.4733
-0.8986 6.8022 13.7968
4.9207 7.6428 3.4006
-2.8518 7.4367 3.5265
2.8518 7.2958 14.4052
-4.9207 7.0897 14.5310
0.8986 7.9303 4.1349
2.3230 2.9755 5.4584
6.0737 8.1456 9.8687
-4.9399 8.2409 10.1372
3.0919 8.1061 10.1965
0.8249 8.2483 11.3667
-2.0022 8.4495 1.3910
0.8249 8.3330 15.5308
1.1820 8.7501 1.6499
3.0919 8.4751 16.7010
-4.9399 8.3403 16.7602
6.0737 8.4357 17.0287
-4.9207 9.4916 12.3664
2.8518 9.2855 12.4923
-2.8408 9.5778 7.7385
2.0121 9.8097 7.5430
-0.4671 10.0735 7.4504
-0.8986 9.7791 13.1007
-0.2606 10.0273 3.1956
-2.3230 4.8243 14.4242
2.0022 10.2983 10.3568
-1.1820 10.5988 10.6158
0.9320 11.2140 5.6866
2.8408 11.4266 16.7043
-2.0121 11.6585 16.5088
0.4671 11.9223 16.4163
0.2606 11.8761 12.1614
-0.9320 13.0628 14.6524
```

Symmetry: C2/c (15)

---

A relaxed structure of Li3CrP2O8, computed with PBE+U.

The structure in POSCAR format:
```
Li3CrP2O8
1.0
-5.9879 -6.4424 -5.0682
0.8539 -5.5158 6.0025
-6.1674 1.2252 5.7291
Li Cr P O
12 4 8 32
Cartesian
-5.5017 -4.7597 5.7135
-6.9222 -5.6369 8.3652
-3.7854 -7.6136 0.9498
-6.8326 -7.0848 0.0756
-5.4955 -6.2974 -2.6467
-1.3945 -4.1356 3.7383
-6.3094 -1.8213 6.7349
-8.1079 -8.3175 3.0102
-4.3083 -3.6150 2.7095
-6.2750 -5.6342 2.7725
-2.9967 -2.9151 5.6088
-8.7779 -5.3827 3.8807
-4.6400 -0.7122 3.7321
-2.7514 -2.8230 -0.3440
-9.7870 -9.2410 5.9604
-5.2314 -8.4823 4.1417
-7.1482 -2.7975 3.7799
-4.6476 -5.1145 0.0079
-4.7308 -3.5497 8.2830
-2.2536 -1.3833 2.5778
-9.7166 -6.5643 1.1854
-7.1394 -7.2965 5.7008
-6.0018 -9.9245 1.3189
-3.5813 -6.3168 3.7881
-3.3834 -0.3552 2.2978
-5.7574 -2.3064 3.2858
-8.5604 -7.7275 6.1799
-2.2578 -5.7998 3.2714
-5.7819 -5.6515 0.8725
-8.4268 -7.4232 1.2115
-4.9935 -11.1253 1.5232
-5.1231 -4.6124 -1.4200
-6.0318 -2.7528 8.3682
-3.6051 -6.1895 -0.2961
-9.5598 -9.2612 4.0063
-5.0514 -4.9082 9.0372
-6.3480 -9.2917 2.6970
-3.9867 -3.8873 0.7569
-6.1911 -8.5198 5.8274
-4.8894 -1.0384 5.6869
-5.0907 -8.9952 0.4390
-9.6266 -5.4916 0.0221
-6.9869 -7.2415 -1.8553
-4.6012 -5.1676 3.9904
-7.1381 -6.9874 4.1498
-1.8619 -2.0598 1.2275
-2.9362 -2.4254 3.5523
-1.2900 -3.8560 5.6645
-4.2484 -7.3668 2.8079
-7.2478 -2.8537 5.3466
-8.2335 -1.6797 3.5103
-6.7094 -6.0683 6.4916
-10.0364 -6.0014 2.5517
-7.4657 -4.1382 3.1536
-3.4907 -7.1952 5.1043
-4.2787 -3.7466 6.8411
```

Symmetry: P2_1 (4)
ΔE to the lowest computed polymorph, meV/atom: 50

---

A relaxed structure of Li2CrP2O8, computed with PBE+U.

The structure in POSCAR format:
```
Li2CrP2O8
1.0
-4.1323 -2.4111 1.6679
-3.3856 -2.3977 -2.9086
5.9541 -12.3970 0.9353
Li Cr P O
4 2 4 16
Cartesian
0.3991 -11.4665 2.0670
0.0418 -13.6068 -0.2107
-2.9918 -7.4093 -0.3320
-1.9310 -5.2564 -2.3658
2.9661 -6.2693 0.4854
-0.0047 -0.0707 -0.0207
2.7588 -12.6578 0.3403
-4.3323 -4.6261 -0.6091
-0.2414 -6.4597 0.0146
-1.3198 -10.8240 -0.3582
1.0134 -6.1029 0.8727
-0.3278 -10.3771 -1.5006
-1.3820 -6.8613 1.0193
2.1601 -11.5198 1.1444
2.7170 -13.9428 1.2318
-3.7553 -4.1866 0.7919
4.2209 -12.2973 -0.0723
-2.6361 -11.2586 -1.0481
-0.5545 -5.3166 -0.9316
-4.3095 -3.3419 -1.5124
1.9971 -13.0527 -0.9771
-1.5866 -9.5450 0.5128
-5.7991 -5.0634 -0.3758
-0.6799 -11.9350 0.4485
-3.4680 -5.7331 -1.1768
0.0035 -7.7396 -0.8512
```

Symmetry: Cc (9)
ΔE to the lowest computed polymorph, meV/atom: 5

---

A relaxed structure of Li3Cr4P5O24, computed with PBE+U.

The structure in POSCAR format:
```
Li3Cr4P5O24
1.0
0.0000 8.2726 0.0000
-8.2021 4.1363 -0.0062
-1.2608 -4.1363 13.0654
Li Cr P O
6 8 10 48
Cartesian
-8.4909 10.9082 3.5007
-5.0202 1.5008 10.0365
-4.4414 6.7473 3.1017
-4.5046 10.1747 0.6688
-0.9708 -2.6110 9.6375
-1.0339 2.2343 7.2046
-8.3391 7.7241 2.3542
-7.1134 0.4472 12.7756
-7.0543 8.7220 6.8048
-4.8684 4.6849 8.8900
-4.5979 3.6302 4.1907
-2.3820 -0.4472 6.2460
-2.3229 7.8233 0.2752
-1.1272 0.5061 10.7265
-7.9410 3.4996 7.9238
-7.7944 10.3734 0.5271
-7.1157 7.0114 9.7816
-6.2452 3.5090 11.7002
-5.1251 6.2606 6.0202
-4.3237 2.0356 7.0629
-3.2096 4.7730 1.3942
-2.3843 1.2612 3.2520
-1.6544 -2.1243 12.5560
-1.5138 4.7636 5.1706
-8.8408 0.9628 11.9775
-8.7949 4.3287 6.9038
-8.6588 3.4586 9.3213
-8.3612 6.1305 10.0230
-7.9636 6.8682 0.6836
-7.9460 1.9819 7.6160
-7.6237 4.1238 11.6740
-7.5106 9.4025 1.6888
-7.5695 7.9030 8.5988
-6.9372 7.3387 3.0456
-6.7685 9.3759 5.3678
-6.7256 -0.3409 10.9576
-6.5634 4.1150 7.9529
-6.4091 11.0218 0.2091
-6.4675 6.9382 6.3807
-6.2313 1.9736 11.9659
-6.1952 5.2288 1.1421
-5.9920 3.2250 3.4853
-5.8486 6.1868 9.4976
-5.5122 3.5061 10.3185
-5.4293 4.2885 12.7861
-5.4137 5.2904 4.8553
-5.3294 0.9655 7.6070
-4.9480 2.7163 5.8398
-4.4929 5.5407 7.2194
-4.1094 7.3099 5.4480
-4.0399 3.0064 8.2246
-4.0634 3.9439 0.3742
-3.9273 4.8140 2.7917
-3.6298 2.1421 3.4934
-3.4665 5.0702 9.5814
-3.2978 3.0331 11.9036
-3.2146 6.2907 1.0865
-2.9384 1.3871 6.7449
-2.9968 -2.8019 12.9165
-2.8923 4.1488 5.1444
-2.8381 8.6423 2.0692
-2.7245 -1.0924 7.6779
-2.5214 0.9113 10.0211
-1.9942 0.3409 4.4280
-1.9430 -1.1541 11.3911
-1.8320 4.1576 1.4233
-1.4999 6.2990 5.4363
-1.4773 1.4200 12.3756
-1.1172 2.0858 2.9681
-0.7808 4.7665 3.7889
-0.6979 3.9842 6.2565
-0.5980 7.3071 1.0774
```

Symmetry: Cc (9)

---

A relaxed structure of LiCrPO4, computed with PBE+U.

The structure in POSCAR format:
```
LiCrPO4
1.0
5.0294 0.0000 0.0000
0.0000 8.3013 0.0000
0.0000 0.0000 16.7103
Li Cr P O
8 8 8 32
Cartesian
4.7342 0.2550 15.7667
2.3462 1.1663 6.0717
4.8609 2.9843 14.4269
2.2195 3.8957 7.4116
4.7342 4.4057 9.2987
2.3462 5.3170 2.2835
4.8609 7.1350 10.6386
2.2195 8.0463 0.9436
2.6308 1.0890 12.5152
2.4014 1.2448 9.2402
4.9161 2.9059 0.8850
0.1161 3.0616 4.1601
2.6308 5.2397 12.5502
2.4014 5.3954 15.8253
4.9161 7.0566 7.4702
0.1161 7.2123 4.1951
4.7719 1.8949 11.3103
2.1931 1.9972 15.6153
4.7078 2.1535 7.2602
2.2572 2.2557 2.9551
4.7719 6.0456 13.7552
2.1931 6.1479 9.4502
4.7078 6.3042 1.0950
2.2572 6.4064 5.4001
3.8067 0.7196 10.7732
1.6026 0.6826 16.1052
3.8920 0.9383 7.8400
1.8455 0.9312 2.3822
1.2063 1.4570 10.9870
3.7191 2.1334 15.9837
4.5508 1.7934 12.8489
4.5135 2.0017 5.7269
1.9988 2.1490 14.0821
2.0361 2.3573 4.4937
1.2044 2.0173 7.6286
3.7210 2.6937 2.6319
4.3602 3.2194 10.7373
1.3773 3.2123 16.1952
4.1173 3.4681 7.7500
1.2920 3.4311 2.4181
3.8067 4.8702 14.2923
1.6026 4.8333 8.9603
3.8920 5.0890 0.5151
1.8455 5.0819 5.9730
1.2063 5.6077 14.0785
3.7191 6.2841 9.0817
4.5508 5.9441 12.2166
4.5135 6.1524 2.6282
1.9988 6.2996 10.9834
2.0361 6.5079 3.8615
1.2044 6.1680 0.7266
3.7210 6.8443 5.7233
4.3602 7.3701 14.3282
1.3773 7.3630 8.8703
4.1173 7.6187 0.6052
1.2920 7.5818 5.9371
```

Symmetry: Pna2_1 (33)
ΔE to the lowest computed polymorph, meV/atom: 64

---

A relaxed structure of LiCr2P5O16, computed with PBE+U.

The structure in POSCAR format:
```
LiCr2P5O16
1.0
6.7167 0.0000 0.0000
0.0000 5.0045 0.0000
0.0000 0.1201 18.7037
Li Cr P O
2 4 10 32
Cartesian
2.4664 1.4262 9.8336
4.2503 1.3662 0.4817
1.2214 1.2875 1.7250
1.2103 3.7856 7.6200
5.4953 1.3475 11.0768
5.5064 3.8456 16.9719
5.8683 1.2182 7.9263
3.1256 1.3444 6.9034
1.7000 5.0033 4.6794
3.1392 3.7225 2.4503
0.8484 1.2783 17.2781
3.5911 1.4045 16.2552
5.0167 5.0633 14.0312
5.8819 3.8429 1.4711
0.8348 3.9029 10.8230
3.5775 3.7826 11.8021
6.2280 0.3241 1.3014
2.5564 4.7725 1.5305
2.4427 0.4150 7.9045
5.2029 3.2273 0.2271
1.5394 1.8107 18.5419
0.3699 4.8475 17.4355
4.2740 0.4750 17.2563
6.5424 2.2143 16.6578
3.8374 2.8705 16.5059
2.0365 1.1642 16.1591
5.8161 4.3344 15.0651
3.9634 1.0378 14.7400
4.0454 3.9855 13.3150
5.7576 0.8464 12.9938
2.0098 3.9608 11.9686
6.4633 3.0388 11.4252
3.7757 2.3277 11.4101
4.1602 4.8325 10.8823
0.4887 0.3841 10.6533
0.2534 2.9787 2.0734
5.1773 1.7507 9.1900
6.3468 4.7874 8.0836
1.5138 3.2874 9.5790
0.1743 2.1543 7.3060
2.8793 2.8104 7.1541
4.6801 1.1042 6.8073
0.9006 4.2744 5.7132
2.7533 0.9778 5.3882
2.6713 3.9255 3.9632
0.9590 0.7863 3.6419
4.7068 3.9008 2.6168
2.9410 2.2677 2.0582
```

Symmetry: Pc (7)
ΔE to the lowest computed polymorph, meV/atom: 0

---

Total energy after the MP2020 corrections readings, ordered: -7.99 -7.32 -7.44 -7.55 -7.76 -7.94 eV per atom
VASP energy readings, ordered: -7.261 -6.783 -6.860 -6.867 -7.077 -7.317 eV/atom
DFT formation energy readings, ordered: -2461 -2619 -2523 -2265 -2503 -2632 meV/atom